# KSiTc2 | Materials Project | GGA-PBE | relaxed
data_KSiTc2
_cell_length_a 4.553
_cell_length_b 4.553
_cell_length_c 4.553
_cell_angle_alpha 60.00
_cell_angle_beta 60.00
_cell_angle_gamma 60.00
_space_group_name_H-M_alt 'P 1'
_space_group_IT_number 1
loop_
_space_group_symop_operation_xyz
'x,y,z'
loop_
_atom_site_label
_atom_site_type_symbol
_atom_site_fract_x
_atom_site_fract_y
_atom_site_fract_z
_atom_site_occupancy
K1 K 0.000 0.000 0.000 1
Si1 Si 0.750 0.750 0.750 1
Tc1 Tc 0.250 0.250 0.250 1
Tc2 Tc 0.500 0.500 0.500 1
# E ... -23.24 eV per cell
# DFT formation energy ... 1.004 eV per atom

=====

# La9Ni5S21 | Materials Project | GGA-PBE | relaxed
data_La9Ni5S21
_cell_length_a 11.771
_cell_length_b 11.771
_cell_length_c 11.771
_cell_angle_alpha 100.41
_cell_angle_beta 100.41
_cell_angle_gamma 100.41
_space_group_name_H-M_alt 'P 1'
_space_group_IT_number 1
loop_
_space_group_symop_operation_xyz
'x,y,z'
loop_
_atom_site_label
_atom_site_type_symbol
_atom_site_fract_x
_atom_site_fract_y
_atom_site_fract_z
_atom_site_occupancy
La1 La 0.002 0.133 0.358 1
La2 La 0.030 0.806 0.165 1
La3 La 0.032 0.664 0.801 1
La4 La 0.132 0.502 0.364 1
La5 La 0.133 0.358 0.002 1
La6 La 0.165 0.030 0.806 1
La7 La 0.337 0.469 0.693 1
La8 La 0.358 0.002 0.133 1
La9 La 0.364 0.132 0.502 1
La10 La 0.468 0.827 0.695 1
La11 La 0.469 0.693 0.337 1
La12 La 0.502 0.364 0.132 1
La13 La 0.664 0.801 0.032 1
La14 La 0.693 0.337 0.469 1
La15 La 0.695 0.468 0.827 1
La16 La 0.801 0.032 0.664 1
La17 La 0.806 0.165 0.030 1
La18 La 0.827 0.695 0.468 1
Ni1 Ni 0.074 0.404 0.740 1
Ni2 Ni 0.240 0.906 0.576 1
Ni3 Ni 0.246 0.246 0.246 1
Ni4 Ni 0.404 0.740 0.074 1
Ni5 Ni 0.422 0.422 0.422 1
Ni6 Ni 0.576 0.240 0.906 1
Ni7 Ni 0.740 0.074 0.404 1
Ni8 Ni 0.746 0.746 0.746 1
Ni9 Ni 0.906 0.576 0.240 1
Ni10 Ni 0.921 0.921 0.921 1
S1 S 0.025 0.550 0.122 1
S2 S 0.044 0.276 0.193 1
S3 S 0.046 0.719 0.383 1
S4 S 0.088 0.503 0.604 1
S5 S 0.118 0.889 0.974 1
S6 S 0.122 0.025 0.550 1
S7 S 0.176 0.269 0.752 1
S8 S 0.193 0.044 0.276 1
S9 S 0.212 0.789 0.692 1
S10 S 0.219 0.545 0.884 1
S11 S 0.232 0.311 0.451 1
S12 S 0.269 0.752 0.176 1
S13 S 0.276 0.193 0.044 1
S14 S 0.311 0.451 0.232 1
S15 S 0.360 0.877 0.460 1
S16 S 0.369 0.599 0.514 1
S17 S 0.383 0.046 0.719 1
S18 S 0.416 0.841 0.937 1
S19 S 0.451 0.232 0.311 1
S20 S 0.460 0.360 0.877 1
S21 S 0.503 0.604 0.088 1
S22 S 0.514 0.369 0.599 1
S23 S 0.545 0.884 0.219 1
S24 S 0.550 0.122 0.025 1
S25 S 0.568 0.648 0.796 1
S26 S 0.599 0.514 0.369 1
S27 S 0.604 0.088 0.503 1
S28 S 0.648 0.796 0.568 1
S29 S 0.692 0.212 0.789 1
S30 S 0.711 0.932 0.851 1
S31 S 0.719 0.383 0.046 1
S32 S 0.752 0.176 0.269 1
S33 S 0.789 0.692 0.212 1
S34 S 0.796 0.568 0.648 1
S35 S 0.841 0.937 0.416 1
S36 S 0.851 0.711 0.932 1
S37 S 0.877 0.460 0.360 1
S38 S 0.884 0.219 0.545 1
S39 S 0.889 0.974 0.118 1
S40 S 0.932 0.851 0.711 1
S41 S 0.937 0.416 0.841 1
S42 S 0.974 0.118 0.889 1
# E (MP2020) ... -435.57 eV for the cell shown
# E ... -414.44 eV per cell
# DFT formation energy ... -1.646 eV per atom

=====

# Mg6TiAlO8 | Materials Project | GGA-PBE | relaxed
data_Mg6TiAlO8
_cell_length_a 4.313
_cell_length_b 4.313
_cell_length_c 8.616
_cell_angle_alpha 90.00
_cell_angle_beta 90.00
_cell_angle_gamma 90.00
_space_group_name_H-M_alt 'P 1'
_space_group_IT_number 1
loop_
_space_group_symop_operation_xyz
'x,y,z'
loop_
_atom_site_label
_atom_site_type_symbol
_atom_site_fract_x
_atom_site_fract_y
_atom_site_fract_z
_atom_site_occupancy
Mg1 Mg 0.000 0.000 0.000 1
Mg2 Mg 0.000 0.500 0.248 1
Mg3 Mg 0.000 0.500 0.752 1
Mg4 Mg 0.500 0.000 0.248 1
Mg5 Mg 0.500 0.000 0.752 1
Mg6 Mg 0.500 0.500 0.000 1
Ti1 Ti 0.000 0.000 0.500 1
Al1 Al 0.500 0.500 0.500 1
O1 O 0.000 0.000 0.242 1
O2 O 0.000 0.000 0.758 1
O3 O 0.000 0.500 0.000 1
O4 O 0.000 0.500 0.500 1
O5 O 0.500 0.000 0.000 1
O6 O 0.500 0.000 0.500 1
O7 O 0.500 0.500 0.254 1
O8 O 0.500 0.500 0.746 1
# E (MP2020) ... -104.99 eV for the cell shown
# E ... -99.49 eV per cell
# DFT formation energy ... -2.760 eV per atom
# E above lowest polymorph ... 0.010 eV per atom

=====

# SrEuZnBiO6 | Materials Project | GGA-PBE | relaxed
data_SrEuZnBiO6
_cell_length_a 5.821
_cell_length_b 5.821
_cell_length_c 5.821
_cell_angle_alpha 60.00
_cell_angle_beta 60.00
_cell_angle_gamma 60.00
_space_group_name_H-M_alt 'P 1'
_space_group_IT_number 1
loop_
_space_group_symop_operation_xyz
'x,y,z'
loop_
_atom_site_label
_atom_site_type_symbol
_atom_site_fract_x
_atom_site_fract_y
_atom_site_fract_z
_atom_site_occupancy
Sr1 Sr 0.000 0.000 0.000 1
Eu1 Eu 0.500 0.500 0.500 1
Zn1 Zn 0.250 0.250 0.250 1
Bi1 Bi 0.750 0.750 0.750 1
O1 O 0.005 0.005 0.495 1
O2 O 0.005 0.495 0.005 1
O3 O 0.005 0.495 0.495 1
O4 O 0.495 0.005 0.005 1
O5 O 0.495 0.005 0.495 1
O6 O 0.495 0.495 0.005 1
# E (MP2020) ... -68.02 eV for the cell shown
# E ... -63.90 eV per cell
# DFT formation energy ... -2.124 eV per atom

=====

# AlSb5Se5Cl4 | Materials Project | GGA-PBE | relaxed
data_AlSb5Se5Cl4
_cell_length_a 9.702
_cell_length_b 9.839
_cell_length_c 11.946
_cell_angle_alpha 104.07
_cell_angle_beta 110.26
_cell_angle_gamma 99.74
_space_group_name_H-M_alt 'P 1'
_space_group_IT_number 1
loop_
_space_group_symop_operation_xyz
'x,y,z'
loop_
_atom_site_label
_atom_site_type_symbol
_atom_site_fract_x
_atom_site_fract_y
_atom_site_fract_z
_atom_site_occupancy
Al1 Al 0.074 0.377 0.200 1
Al2 Al 0.926 0.623 0.800 1
Sb1 Sb 0.095 0.975 0.691 1
Sb2 Sb 0.219 0.767 0.561 1
Sb3 Sb 0.298 0.377 0.915 1
Sb4 Sb 0.422 0.186 0.585 1
Sb5 Sb 0.425 0.881 0.185 1
Sb6 Sb 0.575 0.119 0.815 1
Sb7 Sb 0.578 0.814 0.415 1
Sb8 Sb 0.702 0.623 0.085 1
Sb9 Sb 0.781 0.233 0.439 1
Sb10 Sb 0.905 0.025 0.309 1
Se1 Se 0.155 0.194 0.611 1
Se2 Se 0.280 0.922 0.424 1
Se3 Se 0.357 0.111 0.904 1
Se4 Se 0.496 0.514 0.155 1
Se5 Se 0.498 0.838 0.727 1
Se6 Se 0.502 0.162 0.273 1
Se7 Se 0.504 0.486 0.845 1
Se8 Se 0.643 0.889 0.096 1
Se9 Se 0.720 0.078 0.576 1
Se10 Se 0.845 0.806 0.389 1
Cl1 Cl 0.095 0.205 0.061 1
Cl2 Cl 0.124 0.585 0.170 1
Cl3 Cl 0.161 0.674 0.817 1
Cl4 Cl 0.227 0.393 0.386 1
Cl5 Cl 0.773 0.607 0.614 1
Cl6 Cl 0.839 0.326 0.183 1
Cl7 Cl 0.876 0.415 0.830 1
Cl8 Cl 0.905 0.795 0.939 1
# E (MP2020) ... -122.61 eV for the cell shown
# E ... -117.70 eV per cell
# DFT formation energy ... -0.803 eV per atom

=====

# BaCo10As6 | Materials Project | GGA-PBE | relaxed
data_BaCo10As6
_cell_length_a 16.421
_cell_length_b 6.812
_cell_length_c 8.905
_cell_angle_alpha 90.00
_cell_angle_beta 90.00
_cell_angle_gamma 90.00
_space_group_name_H-M_alt 'P 1'
_space_group_IT_number 1
loop_
_space_group_symop_operation_xyz
'x,y,z'
loop_
_atom_site_label
_atom_site_type_symbol
_atom_site_fract_x
_atom_site_fract_y
_atom_site_fract_z
_atom_site_occupancy
Ba1 Ba 0.250 0.250 0.041 1
Ba2 Ba 0.250 0.750 0.541 1
Ba3 Ba 0.750 0.250 0.459 1
Ba4 Ba 0.750 0.750 0.959 1
Co1 Co 0.036 0.250 0.821 1
Co2 Co 0.066 0.750 0.742 1
Co3 Co 0.069 0.061 0.570 1
Co4 Co 0.069 0.439 0.570 1
Co5 Co 0.071 0.000 0.283 1
Co6 Co 0.071 0.500 0.283 1
Co7 Co 0.072 0.562 0.000 1
Co8 Co 0.072 0.938 0.000 1
Co9 Co 0.201 0.750 0.917 1
Co10 Co 0.205 0.250 0.647 1
Co11 Co 0.295 0.750 0.147 1
Co12 Co 0.299 0.250 0.417 1
Co13 Co 0.428 0.062 0.500 1
Co14 Co 0.428 0.438 0.500 1
Co15 Co 0.429 0.000 0.783 1
Co16 Co 0.429 0.500 0.783 1
Co17 Co 0.431 0.561 0.070 1
Co18 Co 0.431 0.939 0.070 1
Co19 Co 0.434 0.250 0.242 1
Co20 Co 0.464 0.750 0.321 1
Co21 Co 0.536 0.250 0.679 1
Co22 Co 0.566 0.750 0.758 1
Co23 Co 0.569 0.061 0.930 1
Co24 Co 0.569 0.439 0.930 1
Co25 Co 0.571 0.000 0.217 1
Co26 Co 0.571 0.500 0.217 1
Co27 Co 0.572 0.562 0.500 1
Co28 Co 0.572 0.938 0.500 1
Co29 Co 0.701 0.750 0.583 1
Co30 Co 0.705 0.250 0.853 1
Co31 Co 0.795 0.750 0.353 1
Co32 Co 0.799 0.250 0.083 1
Co33 Co 0.928 0.062 0.000 1
Co34 Co 0.928 0.438 0.000 1
Co35 Co 0.929 0.000 0.717 1
Co36 Co 0.929 0.500 0.717 1
Co37 Co 0.931 0.561 0.430 1
Co38 Co 0.931 0.939 0.430 1
Co39 Co 0.934 0.250 0.258 1
Co40 Co 0.964 0.750 0.179 1
As1 As 0.043 0.250 0.094 1
As2 As 0.046 0.750 0.473 1
As3 As 0.148 0.013 0.788 1
As4 As 0.148 0.487 0.788 1
As5 As 0.154 0.750 0.171 1
As6 As 0.156 0.250 0.398 1
As7 As 0.344 0.750 0.898 1
As8 As 0.346 0.250 0.671 1
As9 As 0.352 0.513 0.288 1
As10 As 0.352 0.987 0.288 1
As11 As 0.454 0.250 0.973 1
As12 As 0.457 0.750 0.594 1
As13 As 0.543 0.250 0.406 1
As14 As 0.546 0.750 0.027 1
As15 As 0.648 0.013 0.712 1
As16 As 0.648 0.487 0.712 1
As17 As 0.654 0.750 0.329 1
As18 As 0.656 0.250 0.102 1
As19 As 0.844 0.750 0.602 1
As20 As 0.846 0.250 0.829 1
As21 As 0.852 0.513 0.212 1
As22 As 0.852 0.987 0.212 1
As23 As 0.954 0.250 0.527 1
As24 As 0.957 0.750 0.906 1
# E ... -424.31 eV per cell
# DFT formation energy ... -0.301 eV per atom

=====

# TbNdCo4 | Materials Project | GGA-PBE | relaxed
data_TbNdCo4
_cell_length_a 5.138
_cell_length_b 5.138
_cell_length_c 5.138
_cell_angle_alpha 60.00
_cell_angle_beta 60.00
_cell_angle_gamma 60.00
_space_group_name_H-M_alt 'P 1'
_space_group_IT_number 1
loop_
_space_group_symop_operation_xyz
'x,y,z'
loop_
_atom_site_label
_atom_site_type_symbol
_atom_site_fract_x
_atom_site_fract_y
_atom_site_fract_z
_atom_site_occupancy
Tb1 Tb 0.000 0.000 0.000 1
Nd1 Nd 0.750 0.750 0.750 1
Co1 Co 0.375 0.375 0.375 1
Co2 Co 0.375 0.375 0.876 1
Co3 Co 0.375 0.876 0.375 1
Co4 Co 0.876 0.375 0.375 1
# E ... -38.27 eV per cell
# DFT formation energy ... -0.072 eV per atom

=====

# YAl3 | Materials Project | GGA-PBE | relaxed
data_YAl3
_cell_length_a 4.262
_cell_length_b 4.262
_cell_length_c 4.262
_cell_angle_alpha 90.00
_cell_angle_beta 90.00
_cell_angle_gamma 90.00
_space_group_name_H-M_alt 'P 1'
_space_group_IT_number 1
loop_
_space_group_symop_operation_xyz
'x,y,z'
loop_
_atom_site_label
_atom_site_type_symbol
_atom_site_fract_x
_atom_site_fract_y
_atom_site_fract_z
_atom_site_occupancy
Y1 Y 0.000 0.000 0.000 1
Al1 Al 0.000 0.500 0.500 1
Al2 Al 0.500 0.000 0.500 1
Al3 Al 0.500 0.500 0.000 1
# E ... -19.40 eV per cell
# DFT formation energy ... -0.425 eV per atom